Computed, not measured: an optimized crystal structure of Na8Y3NbSi4P2O24 at the PBE level of DFT.

Values from the calculation:
* SG: P1 (1)
* E_form: -126.62 eV per formula unit

```
Na8Y3NbSi4P2O24
1.0
9.403 0.000 0.000
4.700 8.149 0.000
0.005 0.068 22.916
Na Y Nb Si P O
24 9 3 12 6 72
Cartesian
0.000 0.000 0.000
12.429 5.267 5.611
4.614 7.751 7.458
1.702 2.700 19.003
5.897 5.569 19.059
4.333 2.628 7.464
5.932 4.926 3.769
7.702 7.984 9.321
4.762 2.827 15.209
7.713 7.970 20.980
4.680 2.300 0.054
6.441 5.272 11.191
5.972 0.144 11.264
8.992 5.396 22.787
7.649 2.484 1.903
9.412 5.493 7.445
7.721 2.522 13.265
10.765 7.688 19.065
11.195 8.049 3.703
9.435 4.962 15.270
13.597 8.105 15.209
10.636 2.809 3.774
12.351 5.309 17.122
10.649 2.295 11.264
3.056 5.289 2.170
7.697 8.035 12.874
7.696 7.985 1.393
7.677 2.542 5.261
7.686 2.562 9.662
7.700 2.578 16.697
12.368 5.293 13.723
12.390 5.285 9.005
12.405 5.343 20.523
7.657 8.039 5.997
7.732 8.063 17.538
7.655 2.594 21.212
4.897 7.985 3.662
1.614 2.274 15.163
5.882 5.266 22.721
4.373 2.267 3.663
6.301 5.089 7.481
4.885 2.563 18.906
10.468 8.014 15.160
6.198 0.088 7.487
9.054 5.041 18.910
11.000 7.841 22.725
9.140 0.192 18.927
10.563 2.526 7.479
4.435 2.848 11.352
6.319 5.672 15.201
9.077 5.611 3.711
9.546 5.257 11.348
10.892 2.886 22.732
13.791 7.756 11.349
2.201 3.765 7.609
4.055 6.918 10.108
2.114 3.526 21.485
4.033 6.596 3.743
2.434 3.689 15.229
5.749 8.129 2.300
1.868 1.415 13.824
2.075 1.460 22.836
1.406 0.126 18.839
5.939 7.891 11.369
3.541 3.674 3.738
2.090 1.140 7.272
6.018 7.892 4.936
2.257 1.346 16.460
4.771 5.603 15.190
4.699 5.350 7.612
3.843 3.773 19.113
4.969 5.489 21.408
3.870 3.546 10.107
4.100 3.682 12.618
4.956 4.873 1.122
6.717 6.587 16.427
3.786 1.431 11.374
3.758 1.318 4.933
6.891 6.543 22.813
6.869 6.289 13.911
7.040 6.570 7.262
4.119 1.430 2.307
4.030 1.118 18.833
5.721 2.827 17.570
6.510 4.122 6.205
5.985 2.719 11.300
7.015 4.474 8.825
6.928 4.264 15.290
8.254 6.512 18.827
5.985 2.462 3.769
9.251 8.106 7.263
6.823 3.878 22.509
5.999 2.365 20.169
9.395 8.114 22.796
9.347 7.898 16.458
8.623 6.510 11.384
9.594 8.157 13.816
8.668 6.520 4.926
8.534 6.226 2.413
6.359 1.028 8.823
8.347 4.183 20.180
6.688 1.201 15.224
8.451 4.207 3.815
8.678 3.967 11.297
7.075 1.180 22.509
8.847 4.193 17.567
6.937 0.756 6.215
11.230 6.919 21.417
10.435 5.412 10.106
10.621 5.534 3.698
10.442 5.138 12.614
11.344 6.633 15.234
11.713 7.128 1.132
11.488 6.726 7.611
10.645 5.271 19.087
9.331 2.779 22.565
8.427 1.013 11.300
9.409 2.485 15.235
8.680 1.175 3.761
9.640 2.811 6.188
8.493 0.799 17.591
8.763 1.249 20.189
9.675 2.194 8.813
11.127 3.699 1.064
13.244 7.053 12.622
13.245 6.843 19.084
```


Computed, not measured: an optimized crystal structure of Na4YNb3Si4P2O24 at the PBE level of DFT.

Values from the calculation:
* SG: P1 (1)
* E_form: -114.19 eV per formula unit

```
Na4YNb3Si4P2O24
1.0
9.059 0.000 0.000
-4.506 7.861 0.000
-0.017 -0.031 22.894
Na Y Nb Si P O
12 3 9 12 6 72
Cartesian
0.000 0.000 0.000
-0.015 0.027 11.236
-1.488 2.697 5.512
-1.649 7.438 13.245
0.038 5.067 15.091
2.920 0.187 20.880
-1.249 7.671 5.519
0.220 5.154 3.661
4.546 2.604 7.553
2.969 5.452 13.256
4.690 2.541 18.846
3.389 5.028 20.821
-4.495 7.805 14.648
4.656 2.493 22.228
4.613 7.732 3.274
4.609 7.739 7.956
-4.415 7.750 19.285
0.029 5.090 0.335
0.081 5.103 11.696
0.074 5.093 18.393
0.108 5.129 7.090
4.530 2.483 15.579
4.601 2.454 10.701
4.573 2.542 4.107
-3.118 5.445 5.591
-1.235 2.832 9.357
-2.545 5.159 20.765
1.382 2.216 5.583
-1.753 7.737 16.933
1.268 2.805 20.795
-1.273 7.399 9.384
1.994 2.544 13.115
2.731 5.154 9.403
5.860 0.229 13.130
1.943 7.720 5.564
3.279 5.404 16.956
3.313 0.170 1.681
1.416 7.285 20.784
3.219 4.809 1.665
5.941 4.665 13.145
7.288 2.566 1.747
7.755 2.203 17.031
-0.535 1.373 9.200
-0.650 1.694 15.764
-3.436 6.567 20.636
-3.087 6.412 4.323
-0.937 3.753 8.048
-1.567 4.841 13.046
-0.947 3.928 1.648
0.554 1.333 20.648
-0.712 3.619 17.282
-1.522 5.078 19.522
-1.526 5.135 5.866
-2.887 7.539 9.225
-0.564 3.630 10.654
-1.570 5.372 22.117
0.581 1.726 4.296
1.693 0.093 18.243
-2.524 7.461 15.570
-2.691 7.821 1.793
1.161 1.163 6.837
1.169 1.171 13.132
0.667 3.605 22.140
-0.929 6.478 10.716
0.812 3.720 5.868
-0.769 6.475 17.265
0.952 3.793 19.552
-0.627 6.672 8.078
-0.438 6.644 1.626
1.116 3.940 13.047
3.612 0.914 0.377
3.034 2.294 5.325
0.538 6.636 13.058
2.875 2.602 20.822
3.672 1.249 16.864
1.648 4.866 1.646
3.905 0.960 2.929
3.028 2.474 11.852
3.931 1.024 9.507
1.708 4.955 8.145
2.972 2.750 14.474
0.836 6.538 5.833
0.830 6.575 19.551
1.686 5.157 17.282
1.753 5.346 10.739
1.128 6.409 22.056
5.235 0.789 20.831
5.230 1.024 14.457
3.637 3.866 2.886
3.665 3.829 9.527
3.695 4.185 0.352
5.464 1.152 11.835
5.509 1.257 5.339
4.035 3.941 16.877
2.722 7.400 4.225
3.385 6.216 15.587
2.958 7.378 20.656
3.615 6.505 9.203
3.809 6.197 1.791
2.932 7.798 13.112
5.259 3.940 5.329
3.940 6.246 18.266
6.221 2.310 16.936
7.475 0.200 6.818
5.361 3.969 11.901
5.476 3.937 20.747
6.207 2.706 9.529
5.623 3.841 14.429
6.452 2.465 0.489
6.361 2.705 3.018
5.208 6.192 6.865
5.300 6.069 13.208
8.107 1.259 18.242
8.247 1.399 1.810
```


Computed, not measured: an optimized crystal structure of Na3YNb3Si3P3O24 at the PBE level of DFT.

Values from the calculation:
* SG: P1 (1)
* E_form: -111.23 eV per formula unit

```
Na3YNb3Si3P3O24
1.0
9.003 0.000 0.000
4.482 7.815 0.000
0.039 -0.022 22.884
Na Y Nb Si P O
9 3 9 9 9 72
Cartesian
0.000 0.000 0.000
4.559 7.700 11.338
5.713 5.169 1.867
4.457 2.581 3.754
4.563 2.477 15.217
7.779 7.736 5.696
7.378 2.660 5.748
9.023 5.067 19.011
9.148 5.050 7.627
4.491 7.724 3.160
4.575 2.587 7.285
4.610 2.486 18.454
4.562 7.703 14.588
4.583 7.666 19.500
4.561 7.655 8.040
4.541 2.501 0.365
4.624 2.470 11.849
9.039 5.071 10.986
9.078 5.088 22.307
9.073 5.078 15.634
9.065 5.105 4.131
5.904 5.379 5.549
5.921 4.765 20.860
6.463 5.065 13.300
7.836 7.407 1.779
7.295 2.475 9.430
7.710 2.862 1.755
10.333 7.347 13.286
10.413 2.851 13.288
11.637 5.014 1.739
3.227 5.525 17.027
1.335 2.182 5.666
3.208 4.833 9.532
1.948 2.466 20.868
7.112 7.608 17.023
3.238 0.152 9.468
5.922 0.194 20.869
10.908 7.620 5.696
7.880 2.117 17.030
3.648 6.244 1.750
3.746 6.296 15.784
1.078 1.364 4.417
1.054 1.171 20.726
3.933 6.222 9.373
3.304 4.063 8.222
2.743 2.702 19.607
3.511 3.618 1.637
3.010 2.690 13.034
3.867 4.144 17.030
2.846 2.314 5.831
3.880 4.068 10.700
5.177 6.266 20.674
2.898 2.234 22.094
1.673 0.016 9.357
6.184 7.671 15.781
5.480 6.388 6.862
5.501 6.380 13.457
6.210 7.519 18.311
5.416 6.027 4.178
6.243 7.454 1.780
3.499 1.039 17.025
5.222 4.027 22.185
3.569 1.138 10.626
5.393 3.854 5.677
5.537 3.735 13.062
3.781 0.651 8.130
5.733 3.897 19.550
4.097 1.029 1.630
7.958 6.295 16.964
7.421 5.317 12.010
6.065 2.862 1.654
7.590 5.365 5.564
8.305 6.561 9.726
7.516 5.087 21.072
5.164 1.006 13.052
8.274 6.466 0.526
8.435 6.665 3.186
7.440 4.832 14.608
5.278 0.726 19.610
6.165 2.317 10.651
5.421 0.956 5.878
5.624 1.124 22.092
6.594 2.756 8.018
6.362 2.233 16.998
9.660 6.614 14.605
8.029 3.777 3.153
8.269 3.762 9.733
8.252 3.732 0.494
9.918 6.558 21.100
10.066 6.403 12.003
10.115 6.283 5.589
8.574 3.520 16.953
7.243 0.130 4.459
7.494 0.114 20.716
10.668 5.444 16.968
8.302 1.289 15.782
8.359 1.426 1.728
9.595 3.554 5.592
11.871 7.523 6.948
8.204 1.095 9.334
8.413 1.399 18.310
11.952 7.546 13.466
9.693 3.577 12.021
10.666 5.109 0.458
10.712 5.099 9.769
9.980 3.652 21.086
10.686 4.890 3.118
10.111 3.803 14.609
9.710 1.421 6.919
12.596 6.358 18.313
9.745 1.359 13.455
```


- Number 1 is which compound?
  Na8Y3NbSi4P2O24


- E_form of number 1 (Na8Y3NbSi4P2O24)?
  -126.62 eV per formula unit


- What is the E_form in the second record?
  -114.19 eV per formula unit